Model A:
Below is crystalline Sr3ZnCoO6 at its relaxed geometry, with properties calculated at the PBE+U level.

Values from the calculation:
- Total moment: 3.997 μB per cell
- SG: P-1, No. 2

Cell lengths 6.5816, 9.4357, 9.7240 Å; angles 86.72, 88.34, 94.17 degrees
Closest atoms and distances in Å follow each position.
Positions (direct):
Sr1 0.6161 0.5681 0.6822  8 O 2.53-2.70
Sr2 0.6141 0.0667 0.1830  8 O 2.51-2.69
Sr3 0.8820 0.4301 0.1838  7 O 2.49-2.72
Sr4 0.8827 0.9291 0.6823  8 O 2.52-2.82
Sr5 0.2533 0.7514 0.1311  8 O 2.50-2.80
Sr6 0.2539 0.2538 0.6384  7 O 2.51-2.71
Sr7 0.1180 0.5699 0.8162  7 O 2.49-2.72
Sr8 0.1173 0.0709 0.3177  8 O 2.52-2.82
Sr9 0.7467 0.2486 0.8689  8 O 2.50-2.80
Sr10 0.7461 0.7462 0.3616  7 O 2.51-2.71
Sr11 0.3839 0.4319 0.3178  8 O 2.53-2.70
Sr12 0.3859 0.9333 0.8170  8 O 2.51-2.69
Zn1 0.2521 0.2520 0.0095  4 O 2.03-2.17
Zn2 0.2553 0.7442 0.4943  4 O 2.03-2.19
Zn3 0.7479 0.7480 0.9905  4 O 2.03-2.17
Zn4 0.7447 0.2558 0.5057  4 O 2.03-2.19
Co1 0.5000 0.0000 0.5000  4 O 1.84-1.94
Co2 0.0000 0.0000 0.0000  4 O 1.82-1.96
Co3 0.5000 0.5000 0.0000  6 O 1.91-2.10
Co4 0.0000 0.5000 0.5000  6 O 1.92-2.11
O1 0.5313 0.3140 0.1061  1 Co 2.01, 1 Zn 2.15
O2 0.5292 0.8182 0.5988  1 Co 1.94
O3 0.2249 0.4911 0.0704  1 Co 1.91
O4 0.2364 0.9956 0.5687  1 Co 1.84
O5 0.3933 0.3734 0.8429  1 Zn 2.08, 1 Co 2.10
O6 0.3899 0.8705 0.3365  1 Zn 2.03, 1 Co 2.17
O7 0.0310 0.8002 0.9060  1 Zn 2.03, 1 Co 2.16
O8 0.0328 0.3029 0.4138  1 Zn 2.08, 1 Co 2.11
O9 0.9197 0.3931 0.6695  1 Co 1.92
O10 0.9271 0.9001 0.1623  1 Co 1.82
O11 0.7115 0.4761 0.4427  1 Co 1.99, 1 Zn 2.16
O12 0.7164 0.9736 0.9452  1 Co 1.96, 1 Zn 2.17
O13 0.4687 0.6860 0.8939  1 Co 2.01, 1 Zn 2.15
O14 0.4708 0.1818 0.4012  1 Co 1.94
O15 0.7751 0.5089 0.9296  1 Co 1.91
O16 0.7636 0.0044 0.4313  1 Co 1.84
O17 0.6067 0.6266 0.1571  1 Zn 2.08, 1 Co 2.10
O18 0.6101 0.1295 0.6635  1 Zn 2.03, 1 Co 2.17
O19 0.9690 0.1998 0.0940  1 Zn 2.03, 1 Co 2.16
O20 0.9672 0.6971 0.5862  1 Zn 2.08, 1 Co 2.11
O21 0.0803 0.6069 0.3305  1 Co 1.92
O22 0.0729 0.0999 0.8377  1 Co 1.82
O23 0.2885 0.5239 0.5573  1 Co 1.99, 1 Zn 2.16
O24 0.2836 0.0265 0.0548  1 Co 1.96, 1 Zn 2.17



Model B:
Below is crystalline Sr3ZnCoO6 at its relaxed geometry, with properties calculated at the PBE+U level.

Values from the calculation:
- Total moment: 4.000 μB per cell
- SG: P1, No. 1

Cell lengths 6.7076, 6.6867, 13.3637 Å; angles 92.85, 92.68, 92.55 degrees
Closest atoms and distances in Å follow each position.
Positions (direct):
Sr1 0.6141 0.8859 0.1250  8 O 2.57-2.73
Sr2 0.6170 0.8827 0.6248  8 O 2.53-2.74
Sr3 0.8852 0.2533 0.3099  8 O 2.48-2.73
Sr4 0.8847 0.2485 0.8063  8 O 2.47-2.74
Sr5 0.2516 0.6153 0.4437  8 O 2.47-2.74
Sr6 0.2472 0.6153 0.9401  8 O 2.48-2.73
Sr7 0.1139 0.7532 0.1921  8 O 2.56-2.76
Sr8 0.1160 0.7450 0.6917  8 O 2.48-2.73
Sr9 0.7465 0.3861 0.0579  8 O 2.56-2.75
Sr10 0.7548 0.3837 0.5583  8 O 2.48-2.73
Sr11 0.3862 0.1174 0.3776  8 O 2.51-2.76
Sr12 0.3825 0.1142 0.8727  8 O 2.52-2.76
Zn1 0.2461 0.2537 0.1251  6 O 2.18-2.23
Zn2 0.2510 0.2490 0.6250  6 O 2.19-2.23
Zn3 0.7495 0.7459 0.3783  6 O 2.17-2.26
Zn4 0.7537 0.7511 0.8716  6 O 2.17-2.25
Co1 0.5022 0.4985 0.7501  6 O 1.90-2.05
Co2 0.0015 0.9978 0.4999  6 O 1.90-2.04
Co3 0.4984 0.5016 0.2503  6 O 1.92-2.05
Co4 0.9983 0.0017 0.9998  6 O 1.93-2.04
O1 0.5387 0.2271 0.2077  1 Co 1.93
O2 0.5435 0.2197 0.7058  1 Co 1.96
O3 0.2235 0.4166 0.2695  1 Co 1.94
O4 0.2124 0.4054 0.7704  1 Co 2.05, 1 Zn 2.19
O5 0.4104 0.5438 0.1042  1 Co 2.05, 1 Zn 2.22
O6 0.4178 0.5407 0.6152  1 Co 1.90
O7 0.0448 0.9154 0.3647  1 Co 1.90
O8 0.0419 0.9124 0.8556  1 Co 2.03, 1 Zn 2.20
O9 0.9119 0.7247 0.0197  1 Co 1.95
O10 0.9124 0.7124 0.5203  1 Co 2.01, 1 Zn 2.17
O11 0.7210 0.0379 0.4543  1 Co 1.98, 1 Zn 2.18
O12 0.7234 0.0426 0.9579  1 Co 1.94
O13 0.4561 0.7753 0.2915  1 Co 1.92
O14 0.4611 0.7781 0.7949  1 Co 1.97, 1 Zn 2.19
O15 0.7762 0.5896 0.2305  1 Co 1.96
O16 0.7879 0.5882 0.7297  1 Co 2.02, 1 Zn 2.17
O17 0.5875 0.4589 0.3947  1 Co 2.03, 1 Zn 2.19
O18 0.5845 0.4564 0.8856  1 Co 1.91
O19 0.9550 0.0898 0.1455  1 Co 2.04, 1 Zn 2.23
O20 0.9583 0.0823 0.6344  1 Co 1.90
O21 0.0941 0.2870 0.4796  1 Co 2.04, 1 Zn 2.20
O22 0.0819 0.2760 0.9803  1 Co 1.93
O23 0.2742 0.9629 0.0431  1 Co 1.95
O24 0.2811 0.9571 0.5448  1 Co 1.98, 1 Zn 2.20



Which structure above is the least stable one? model A is the least stable one.